Entry 1:
# Li2SnCSO7

A relaxed Li2SnCSO7 crystal (PBE-GGA, Materials Project).

a = 5.110 Å, b = 6.828 Å, c = 9.527 Å
α = 90.00°, β = 90.23°, γ = 90.00°
Positions (direct):
1 Li 0.219 0.026 0.319
2 Li 0.219 0.474 0.319
3 Li 0.781 0.526 0.681
4 Li 0.781 0.974 0.681
5 Sn 0.234 0.250 0.874
6 Sn 0.766 0.750 0.126
7 C 0.232 0.250 0.586
8 C 0.768 0.750 0.414
9 S 0.232 0.750 0.863
10 S 0.768 0.250 0.137
11 O 0.014 0.250 0.660
12 O 0.085 0.574 0.810
13 O 0.085 0.926 0.810
14 O 0.226 0.250 0.453
15 O 0.227 0.750 0.021
16 O 0.452 0.250 0.658
17 O 0.497 0.250 0.188
18 O 0.503 0.750 0.812
19 O 0.548 0.750 0.342
20 O 0.773 0.250 0.979
21 O 0.774 0.750 0.547
22 O 0.915 0.074 0.190
23 O 0.915 0.426 0.190
24 O 0.986 0.750 0.340

Calculated values
- DFT formation energy (eV per formula unit) = -24.1
- MP2020-corrected energy (eV/atom) = -6.66
- V (Å³ per atom) = 13.9
- space-group type = No. 11
- magnetic moment (μB per cell) = 0.0

---

Entry 2:
# LaMnAlNi3

A relaxed LaMnAlNi3 crystal (PBE-GGA, Materials Project).

a = 5.235 Å, b = 5.235 Å, c = 3.927 Å
α = 90.00°, β = 90.00°, γ = 120.00°
Positions (direct):
1 La 0.000 0.000 0.000
2 Mn 0.667 0.333 0.000
3 Al 0.333 0.667 0.000
4 Ni 0.501 0.001 0.500
5 Ni 0.501 0.499 0.500
6 Ni 0.999 0.499 0.500

Calculated values
- DFT formation energy (eV per formula unit) = -2.1
- V (Å³ per atom) = 15.5
- space-group type = No. 187
- magnetic moment (μB per cell) = 3.5

---

Entry 3:
# KMg6Cd

A relaxed KMg6Cd crystal (PBE-GGA, Materials Project).

a = 5.336 Å, b = 6.783 Å, c = 11.592 Å
α = 90.00°, β = 90.00°, γ = 90.00°
Positions (direct):
1 Cd 0.500 0.500 0.157
2 K 0.000 0.500 0.332
3 Mg 0.000 0.746 0.082
4 Mg 0.500 0.765 0.422
5 Mg 0.000 0.500 0.837
6 Mg 0.500 0.735 0.922
7 K 0.000 0.000 0.832
8 Mg 0.000 0.246 0.582
9 Mg 0.500 0.235 0.422
10 Mg 0.500 0.000 0.167
11 Mg 0.500 0.500 0.667
12 Mg 0.000 0.000 0.337
13 Cd 0.500 0.000 0.657
14 Mg 0.500 0.265 0.922
15 Mg 0.000 0.254 0.082
16 Mg 0.000 0.754 0.582

Calculated values
- DFT formation energy (eV per formula unit) = 1.1
- V (Å³ per atom) = 26.2
- magnetic moment (μB per cell) = 0.0

---

Entry 4:
# ScZnPd

A relaxed ScZnPd crystal (PBE-GGA, Materials Project).

a = 4.325 Å, b = 9.161 Å, c = 5.319 Å
α = 90.00°, β = 90.00°, γ = 90.00°
Positions (direct):
1 Sc 0.000 0.206 0.250
2 Sc 0.000 0.794 0.750
3 Sc 0.500 0.294 0.750
4 Sc 0.500 0.706 0.250
5 Zn 0.000 0.500 0.000
6 Zn 0.000 0.500 0.500
7 Zn 0.500 0.000 0.000
8 Zn 0.500 0.000 0.500
9 Pd 0.000 0.098 0.750
10 Pd 0.000 0.902 0.250
11 Pd 0.500 0.402 0.250
12 Pd 0.500 0.598 0.750

Calculated values
- DFT formation energy (eV per formula unit) = -2.2
- V (Å³ per atom) = 17.6
- space-group type = No. 63